1.
Material: YCo5P3
Method: DFT, PBE-GGA
State: relaxed

Cell lengths 3.6499, 10.2751, 11.7407 Å; angles 90.00, 90.00, 90.00 degrees
Fractional coordinates of all 36 atoms:
Y (0.2500, 0.9170, 0.2028)
Y (0.7500, 0.0830, 0.7972)
Y (0.7500, 0.4170, 0.2972)
Y (0.2500, 0.5830, 0.7028)
Co (0.2500, 0.7843, 0.4908)
Co (0.7500, 0.2157, 0.5092)
Co (0.7500, 0.2843, 0.0092)
Co (0.2500, 0.7157, 0.9908)
Co (0.2500, 0.0933, 0.9882)
Co (0.7500, 0.9067, 0.0118)
Co (0.7500, 0.5933, 0.5118)
Co (0.2500, 0.4067, 0.4882)
Co (0.2500, 0.2788, 0.6766)
Co (0.7500, 0.7212, 0.3234)
Co (0.7500, 0.7788, 0.8234)
Co (0.2500, 0.2212, 0.1766)
Co (0.2500, 0.6175, 0.1984)
Co (0.7500, 0.3825, 0.8016)
Co (0.7500, 0.1175, 0.3016)
Co (0.2500, 0.8825, 0.6984)
Co (0.2500, 0.0324, 0.4319)
Co (0.7500, 0.9676, 0.5681)
Co (0.7500, 0.5324, 0.0681)
Co (0.2500, 0.4676, 0.9319)
P (0.2500, 0.0815, 0.6118)
P (0.7500, 0.9185, 0.3882)
P (0.7500, 0.5815, 0.8882)
P (0.2500, 0.4185, 0.1118)
P (0.2500, 0.2291, 0.3703)
P (0.7500, 0.7709, 0.6297)
P (0.7500, 0.7291, 0.1297)
P (0.2500, 0.2709, 0.8703)
P (0.2500, 0.8977, 0.8914)
P (0.7500, 0.1023, 0.1086)
P (0.7500, 0.3977, 0.6086)
P (0.2500, 0.6023, 0.3914)

Uncorrected energy   -65.8 eV per formula unit
Symmetry   Pnma, No. 62
Volume   440.3 Å³/cell
E_form   -7.55 eV/f.u.
Crystal system   orthorhombic



2.
Material: CaHf8N8O4
Method: DFT, PBE-GGA
State: relaxed

Cell lengths 5.5283, 5.5156, 10.8290 Å; angles 90.49, 74.37, 59.70 degrees
Fractional coordinates of all 21 atoms:
Ca (0.4965, 0.2233, 0.7509)
Hf (0.1384, 0.4362, 0.2917)
Hf (0.1285, 0.8986, 0.7889)
Hf (0.3440, 0.3539, 0.0096)
Hf (0.6587, 0.1937, 0.4923)
Hf (0.3491, 0.8424, 0.4736)
Hf (0.8417, 0.0859, 0.2095)
Hf (0.6601, 0.6814, 0.0275)
Hf (0.8527, 0.5503, 0.7128)
N (0.4560, 0.1166, 0.3686)
N (0.5508, 0.3900, 0.1309)
N (0.2543, 0.5591, 0.6305)
N (0.7494, 0.4358, 0.3705)
N (0.4487, 0.6102, 0.8745)
N (0.9315, 0.6841, 0.1323)
N (0.9498, 0.1638, 0.6244)
N (0.7413, 0.9224, 0.8812)
O (0.2570, 0.0683, 0.1316)
O (0.0724, 0.8165, 0.3758)
O (0.0506, 0.3034, 0.8747)
O (0.5780, 0.8496, 0.6172)

Uncorrected energy   -208.7 eV per formula unit
Symmetry   P1, No. 1
Volume   270.4 Å³/cell
E_form   -43.30 eV/f.u.
Corrected total energy (MP2020 scheme)   -211.451 eV per cell
Crystal system   triclinic
Excess energy over the best structure of this formula in the dataset   122.6 meV/atom



3.
Material: GdCu4Pd
Method: DFT, PBE-GGA
State: relaxed

Cell lengths 5.1637, 5.1637, 5.1637 Å; angles 58.16, 58.16, 58.16 degrees
Fractional coordinates of all 6 atoms:
Gd (0.9993, 0.9993, 0.9993)
Cu (0.6257, 0.1275, 0.6257)
Cu (0.1275, 0.6257, 0.6257)
Cu (0.6257, 0.6257, 0.1275)
Cu (0.2473, 0.2473, 0.2473)
Pd (0.6246, 0.6246, 0.6246)

Uncorrected energy   -37.4 eV per formula unit
Symmetry   R3m, No. 160
Volume   93.2 Å³/cell
E_form   -1.78 eV/f.u.
Crystal system   trigonal
Excess energy over the best structure of this formula in the dataset   40.0 meV/atom



4.
Material: Nb2Br5
Method: DFT, PBE-GGA
State: relaxed

Cell lengths 9.3729, 9.3729, 6.0268 Å; angles 90.00, 90.00, 105.61 degrees
Fractional coordinates of all 14 atoms:
Nb (0.8278, 0.8278, 0.0000)
Nb (0.8278, 0.8278, 0.5000)
Nb (0.1722, 0.1722, 0.5000)
Nb (0.1722, 0.1722, 0.0000)
Br (0.0278, 0.3227, 0.7500)
Br (0.4105, 0.2621, 0.7500)
Br (0.9118, 0.0882, 0.2500)
Br (0.0882, 0.9118, 0.7500)
Br (0.2621, 0.4105, 0.2500)
Br (0.7379, 0.5895, 0.7500)
Br (0.3227, 0.0278, 0.2500)
Br (0.5895, 0.7379, 0.2500)
Br (0.6773, 0.9722, 0.7500)
Br (0.9722, 0.6773, 0.2500)

Uncorrected energy   -33.1 eV per formula unit
Symmetry   Cmcm, No. 63
Volume   509.9 Å³/cell
E_form   -7.42 eV/f.u.
Corrected total energy (MP2020 scheme)   -71.623 eV per cell
Crystal system   orthorhombic
Excess energy over the best structure of this formula in the dataset   152.9 meV/atom



5.
Material: K2CeCuI6
Method: DFT, PBE-GGA
State: relaxed

Cell lengths 8.4562, 8.4562, 8.4562 Å; angles 60.00, 60.00, 60.00 degrees
Fractional coordinates of all 10 atoms:
K (0.7500, 0.7500, 0.7500)
K (0.2500, 0.2500, 0.2500)
Ce (0.5000, 0.5000, 0.5000)
Cu (0.0000, 0.0000, 0.0000)
I (0.7606, 0.2394, 0.2394)
I (0.2394, 0.2394, 0.7606)
I (0.2394, 0.7606, 0.7606)
I (0.2394, 0.7606, 0.2394)
I (0.7606, 0.2394, 0.7606)
I (0.7606, 0.7606, 0.2394)

Uncorrected energy   -32.2 eV per formula unit
Symmetry   Fm-3m, No. 225
Volume   427.6 Å³/cell
E_form   -13.07 eV/f.u.
Corrected total energy (MP2020 scheme)   -34.467 eV per cell
Crystal system   cubic



6.
Material: EuSeO4
Method: DFT, PBE-GGA
State: relaxed

Cell lengths 7.3656, 6.9224, 8.6876 Å; angles 53.01, 90.00, 90.00 degrees
Fractional coordinates of all 24 atoms:
Eu (0.8477, 0.8165, 0.7807)
Eu (0.3477, 0.1835, 0.7193)
Eu (0.6523, 0.8165, 0.2807)
Eu (0.1523, 0.1835, 0.2193)
Se (0.8374, 0.3137, 0.8030)
Se (0.3374, 0.6863, 0.6970)
Se (0.6626, 0.3137, 0.3030)
Se (0.1626, 0.6863, 0.1970)
O (0.8932, 0.3427, 0.9778)
O (0.6556, 0.1205, 0.8876)
O (0.2910, 0.3976, 0.8851)
O (0.5002, 0.8200, 0.7426)
O (0.7910, 0.6024, 0.6149)
O (0.0002, 0.1800, 0.7574)
O (0.1556, 0.8795, 0.6124)
O (0.3932, 0.6573, 0.5222)
O (0.6068, 0.3427, 0.4778)
O (0.8444, 0.1205, 0.3876)
O (0.9998, 0.8200, 0.2426)
O (0.2090, 0.3976, 0.3851)
O (0.4998, 0.1800, 0.2574)
O (0.7090, 0.6024, 0.1149)
O (0.3444, 0.8795, 0.1124)
O (0.1068, 0.6573, 0.0222)

Uncorrected energy   -43.5 eV per formula unit
Symmetry   P2_1/c, No. 14
Volume   353.8 Å³/cell
E_form   -12.66 eV/f.u.
Corrected total energy (MP2020 scheme)   -184.826 eV per cell
Crystal system   monoclinic
Excess energy over the best structure of this formula in the dataset   0.0 meV/atom